BaH2SeS4O6 | PBE-GGA | optimized geometry

Cell lengths 5.274, 10.330, 23.101 Å; angles 90.00, 90.00, 90.00 degrees
Sites, in units of the cell vectors:
Ba: 0.214 0.250 0.046
Ba: 0.286 0.750 0.546
Ba: 0.714 0.250 0.454
Ba: 0.786 0.750 0.954
H: 0.174 0.750 0.667
H: 0.233 0.250 0.514
H: 0.267 0.750 0.014
H: 0.326 0.250 0.167
H: 0.674 0.750 0.833
H: 0.733 0.250 0.986
H: 0.767 0.750 0.486
H: 0.826 0.250 0.333
Se: 0.046 0.250 0.678
Se: 0.454 0.750 0.178
Se: 0.546 0.250 0.822
Se: 0.954 0.750 0.322
S: 0.190 0.511 0.411
S: 0.190 0.989 0.411
S: 0.208 0.581 0.323
S: 0.208 0.919 0.323
S: 0.292 0.081 0.823
S: 0.292 0.419 0.823
S: 0.310 0.011 0.911
S: 0.310 0.489 0.911
S: 0.690 0.511 0.089
S: 0.690 0.989 0.089
S: 0.708 0.581 0.177
S: 0.708 0.919 0.177
S: 0.792 0.081 0.677
S: 0.792 0.419 0.677
S: 0.810 0.011 0.589
S: 0.810 0.489 0.589
O: 0.080 0.509 0.576
O: 0.080 0.991 0.576
O: 0.170 0.612 0.904
O: 0.170 0.888 0.904
O: 0.186 0.105 0.949
O: 0.186 0.395 0.949
O: 0.314 0.605 0.449
O: 0.314 0.895 0.449
O: 0.330 0.112 0.404
O: 0.330 0.388 0.404
O: 0.420 0.009 0.076
O: 0.420 0.491 0.076
O: 0.580 0.509 0.924
O: 0.580 0.991 0.924
O: 0.670 0.612 0.596
O: 0.670 0.888 0.596
O: 0.686 0.105 0.551
O: 0.686 0.395 0.551
O: 0.814 0.605 0.051
O: 0.814 0.895 0.051
O: 0.830 0.112 0.096
O: 0.830 0.388 0.096
O: 0.920 0.009 0.424
O: 0.920 0.491 0.424

Output
- DFT total energy (eV per atom) = -4.968
- formation energy (eV per atom) = -1.0889
- M_tot (μB per cell) = 8.00